Record 1
# PBE KAlSiO4, relaxed
data_KAlSiO4
_chemical_formula_sum 'K24 Al24 Si24 O96'
_cell_length_a 18.3000
_cell_length_b 18.3000
_cell_length_c 8.5526
_cell_angle_alpha 90.00
_cell_angle_beta 90.00
_cell_angle_gamma 120.00
_space_group_name_H-M_alt 'P 63'
_space_group_IT_number 173
_space_group_name_Hall 'P 6c'
loop_
_atom_site_label
_atom_site_fract_x
_atom_site_fract_y
_atom_site_fract_z
K1 0.0000 0.0000 0.0000
K2 0.0047 0.5272 0.0054
K3 0.1373 0.8048 0.0093
K4 0.1460 0.3335 0.5083
K5 0.3333 0.6667 0.0188
K6 0.3333 0.6667 0.5184
Al1 0.9998 0.3317 0.1975
Al2 0.0079 0.1698 0.8250
Al3 0.1639 0.6554 0.3097
Al4 0.1747 0.4986 0.8097
Si1 0.9995 0.3344 0.8074
Si2 0.0087 0.1682 0.2081
Si3 0.1637 0.6579 0.6917
Si4 0.1737 0.4959 0.1916
O1 0.0049 0.6699 0.4956
O2 0.0238 0.2649 0.7387
O3 0.0284 0.7705 0.7648
O4 0.0375 0.1841 0.0238
O5 0.0639 0.9311 0.7312
O6 0.0700 0.4292 0.7469
O7 0.0744 0.6413 0.7703
O8 0.0924 0.1919 0.3137
O9 0.0934 0.6878 0.2386
O10 0.1020 0.4050 0.2664
O11 0.1406 0.5641 0.2028
O12 0.1492 0.6269 0.5088
O13 0.1903 0.4834 0.0076
O14 0.1995 0.6043 0.7866
O15 0.2336 0.7588 0.6986
O16 0.2634 0.5326 0.2853
# * volume: 2480.5 Å³/cell
# * crystal system: hexagonal
# * energy with MP2020 corrections: -1257.52 eV for the cell shown
# * electronic total energy: -1191.6 eV per cell
# * formation energy from the elements: -3189 meV per atom
# * calculated density: 2.54 g/cm3



Record 2
# PBE KAlSi2O6, relaxed
data_KAlSi2O6
_chemical_formula_sum 'K16 Al16 Si32 O96'
_cell_length_a 13.165
_cell_length_b 13.165
_cell_length_c 14.017
_cell_angle_alpha 90.00
_cell_angle_beta 90.00
_cell_angle_gamma 90.00
_space_group_name_H-M_alt 'I 41/a'
_space_group_IT_number 88
loop_
_space_group_symop_operation_xyz
'x,y,z'
'-x,-y,-z'
'-y+3/4,x+1/4,z+1/4'
'y+3/4,-x+1/4,-z+1/4'
'-x+1/2,-y,z+1/2'
'x+1/2,y,-z+1/2'
'y+3/4,-x+3/4,z+3/4'
'-y+3/4,x+3/4,-z+3/4'
'x+1/2,y+1/2,z+1/2'
'-x+1/2,-y+1/2,-z+1/2'
'-y+1/4,x+3/4,z+3/4'
'y+1/4,-x+3/4,-z+3/4'
'-x,-y+1/2,z'
'x,y+1/2,-z'
'y+1/4,-x+1/4,z+1/4'
'-y+1/4,x+1/4,-z+1/4'
loop_
_atom_site_label
_atom_site_fract_x
_atom_site_fract_y
_atom_site_fract_z
K1 0.108 0.120 0.363
Al1 0.139 0.081 0.878
Si1 0.055 0.104 0.668
Si2 0.104 0.139 0.085
O1 0.012 0.119 0.164
O2 0.062 0.119 0.782
O3 0.065 0.107 0.980
O4 0.065 0.378 0.639
O5 0.086 0.492 0.368
O6 0.176 0.452 0.130
# * volume: 2429.3 Å³/cell
# * crystal system: tetragonal
# * energy with MP2020 corrections: -1241.95 eV for the cell shown
# * electronic total energy: -1176.0 eV per cell
# * formation energy from the elements: -3223 meV per atom
# * calculated density: 2.39 g/cm3



Record 3
# PBE K2Al2Si2O9, relaxed
data_K2Al2Si2O9
_chemical_formula_sum 'K8 Al8 Si8 O36'
_cell_length_a 9.562
_cell_length_b 9.664
_cell_length_c 10.009
_cell_angle_alpha 90.00
_cell_angle_beta 90.00
_cell_angle_gamma 90.00
_space_group_name_H-M_alt 'P 21 21 21'
_space_group_IT_number 19
_space_group_name_Hall 'P 2ac 2ab'
loop_
_atom_site_label
_atom_site_fract_x
_atom_site_fract_y
_atom_site_fract_z
K1 0.024 0.046 0.370
K2 0.199 0.742 0.636
Al1 0.120 0.397 0.803
Al2 0.130 0.870 0.029
Si1 0.148 0.071 0.769
Si2 0.201 0.415 0.498
O1 0.042 0.980 0.672
O2 0.051 0.368 0.438
O3 0.060 0.721 0.367
O4 0.080 0.220 0.807
O5 0.182 0.704 0.972
O6 0.186 0.987 0.906
O7 0.196 0.457 0.656
O8 0.204 0.913 0.186
O9 0.241 0.439 0.930
# * volume: 924.9 Å³/cell
# * crystal system: orthorhombic
# * energy with MP2020 corrections: -430.64 eV for the cell shown
# * electronic total energy: -405.9 eV per cell
# * formation energy from the elements: -2838 meV per atom
# * calculated density: 2.39 g/cm3



Record 4
# PBE KTi3AlO8, relaxed
data_KTi3AlO8
_chemical_formula_sum 'K1 Ti3 Al1 O8'
_cell_length_a 2.972
_cell_length_b 7.291
_cell_length_c 7.313
_cell_angle_alpha 87.71
_cell_angle_beta 78.33
_cell_angle_gamma 78.31
_space_group_name_H-M_alt 'P 1'
_space_group_IT_number 1
_space_group_name_Hall 'P 1'
loop_
_atom_site_label
_atom_site_fract_x
_atom_site_fract_y
_atom_site_fract_z
K1 0.000 0.000 0.000
Ti1 0.176 0.820 0.515
Ti2 0.512 0.201 0.481
Ti3 0.684 0.493 0.835
Al1 0.003 0.522 0.189
O1 0.154 0.056 0.359
O2 0.188 0.632 0.714
O3 0.198 0.362 0.962
O4 0.512 0.644 0.057
O5 0.517 0.386 0.297
O6 0.566 0.953 0.642
O7 0.819 0.706 0.376
O8 0.895 0.297 0.632
# * volume: 152.0 Å³/cell
# * crystal system: triclinic
# * energy with MP2020 corrections: -111.37 eV for the cell shown
# * electronic total energy: -105.9 eV per cell
# * formation energy from the elements: -3326 meV per atom
# * calculated density: 3.69 g/cm3



Record 5
# PBE K2Al2Sb3, relaxed
data_K2Al2Sb3
_chemical_formula_sum 'K16 Al16 Sb24'
_cell_length_a 14.936
_cell_length_b 7.346
_cell_length_c 16.908
_cell_angle_alpha 90.00
_cell_angle_beta 90.54
_cell_angle_gamma 90.00
_space_group_name_H-M_alt 'P 1 21/c 1'
_space_group_IT_number 14
_space_group_name_Hall '-P 2ybc'
loop_
_atom_site_label
_atom_site_fract_x
_atom_site_fract_y
_atom_site_fract_z
K1 0.057 0.055 0.106
K2 0.150 0.549 0.018
K3 0.359 0.030 0.007
K4 0.425 0.532 0.110
Al1 0.095 0.739 0.261
Al2 0.187 0.216 0.327
Al3 0.316 0.734 0.321
Al4 0.406 0.210 0.269
Sb1 0.025 0.043 0.333
Sb2 0.172 0.556 0.386
Sb3 0.247 0.675 0.675
Sb4 0.254 0.221 0.178
Sb5 0.335 0.050 0.401
Sb6 0.471 0.536 0.324
# * volume: 1855.2 Å³/cell
# * crystal system: monoclinic
# * energy with MP2020 corrections: -201.75 eV for the cell shown
# * electronic total energy: -197.1 eV per cell
# * formation energy from the elements: -446 meV per atom
# * calculated density: 3.56 g/cm3



Record 6
# PBE KAlSb4, relaxed
data_KAlSb4
_chemical_formula_sum 'K4 Al4 Sb16'
_cell_length_a 10.551
_cell_length_b 4.279
_cell_length_c 18.290
_cell_angle_alpha 90.00
_cell_angle_beta 90.00
_cell_angle_gamma 90.00
_space_group_name_H-M_alt 'P n m a'
_space_group_IT_number 62
_space_group_name_Hall '-P 2ac 2n'
loop_
_atom_site_label
_atom_site_fract_x
_atom_site_fract_y
_atom_site_fract_z
K1 0.176 0.250 0.066
Al1 0.181 0.750 0.368
Sb1 0.036 0.250 0.550
Sb2 0.070 0.750 0.753
Sb3 0.113 0.750 0.225
Sb4 0.171 0.750 0.899
# * volume: 825.8 Å³/cell
# * crystal system: orthorhombic
# * energy with MP2020 corrections: -93.82 eV for the cell shown
# * electronic total energy: -90.8 eV per cell
# * formation energy from the elements: -347 meV per atom
# * calculated density: 4.45 g/cm3